[1]
# GeS | the Materials Project | PBE | optimized geometry
data_GeS
_chemical_formula_sum 'Ge4 S4'
_space_group_name_H-M_alt 'P 1'
_space_group_IT_number 1
_cell_length_a 10.7696
_cell_length_b 3.6659
_cell_length_c 4.4545
_cell_angle_alpha 90.00
_cell_angle_beta 90.00
_cell_angle_gamma 90.00
loop_
_space_group_symop_operation_xyz
'x,y,z'
loop_
_atom_site_label
_atom_site_type_symbol
_atom_site_fract_x
_atom_site_fract_y
_atom_site_fract_z
Ge1 Ge 0.1257 0.2500 0.1353
Ge2 Ge 0.3743 0.7500 0.6353
Ge3 Ge 0.6257 0.2500 0.3647
Ge4 Ge 0.8743 0.7500 0.8647
S1 S 0.1528 0.7500 0.4979
S2 S 0.3472 0.2500 0.9979
S3 S 0.6528 0.7500 0.0021
S4 S 0.8472 0.2500 0.5021
# Final energy, eV/atom: -4.63
# ΔE_f, eV per atom: -0.5017

[2]
# GeS | the Materials Project | PBE | optimized geometry
data_GeS
_chemical_formula_sum 'Ge2 S2'
_space_group_name_H-M_alt 'P 1'
_space_group_IT_number 1
_cell_length_a 5.9232
_cell_length_b 5.9232
_cell_length_c 3.8890
_cell_angle_alpha 90.00
_cell_angle_beta 90.00
_cell_angle_gamma 141.68
loop_
_space_group_symop_operation_xyz
'x,y,z'
loop_
_atom_site_label
_atom_site_type_symbol
_atom_site_fract_x
_atom_site_fract_y
_atom_site_fract_z
Ge1 Ge 0.1396 0.8604 0.7500
Ge2 Ge 0.8604 0.1396 0.2500
S1 S 0.3525 0.6475 0.7500
S2 S 0.6475 0.3525 0.2500
# Final energy, eV/atom: -4.59
# ΔE_f, eV per atom: -0.4575

[3]
# Sm4Ge3S12 | the Materials Project | PBE | optimized geometry
data_Sm4Ge3S12
_chemical_formula_sum 'Sm8 Ge6 S24'
_space_group_name_H-M_alt 'P 1'
_space_group_IT_number 1
_cell_length_a 11.4609
_cell_length_b 11.4609
_cell_length_c 11.4609
_cell_angle_alpha 114.82
_cell_angle_beta 114.82
_cell_angle_gamma 114.82
loop_
_space_group_symop_operation_xyz
'x,y,z'
loop_
_atom_site_label
_atom_site_type_symbol
_atom_site_fract_x
_atom_site_fract_y
_atom_site_fract_z
Sm1 Sm 0.0000 0.0000 0.0000
Sm2 Sm 0.2115 0.4348 0.9744
Sm3 Sm 0.4348 0.9744 0.2115
Sm4 Sm 0.4744 0.9348 0.7115
Sm5 Sm 0.5000 0.5000 0.5000
Sm6 Sm 0.7115 0.4744 0.9348
Sm7 Sm 0.9348 0.7115 0.4744
Sm8 Sm 0.9744 0.2115 0.4348
Ge1 Ge 0.1438 0.9692 0.3560
Ge2 Ge 0.3560 0.1438 0.9692
Ge3 Ge 0.4692 0.6438 0.8560
Ge4 Ge 0.6438 0.8560 0.4692
Ge5 Ge 0.8560 0.4692 0.6438
Ge6 Ge 0.9692 0.3560 0.1438
S1 S 0.0852 0.7960 0.1104
S2 S 0.0875 0.6338 0.3557
S3 S 0.1104 0.0852 0.7960
S4 S 0.1338 0.5875 0.8557
S5 S 0.1865 0.1898 0.3724
S6 S 0.1898 0.3724 0.1865
S7 S 0.2822 0.8842 0.8122
S8 S 0.2960 0.5852 0.6104
S9 S 0.3122 0.3842 0.7822
S10 S 0.3557 0.0875 0.6338
S11 S 0.3724 0.1865 0.1898
S12 S 0.3842 0.7822 0.3122
S13 S 0.5852 0.6104 0.2960
S14 S 0.5875 0.8557 0.1338
S15 S 0.6104 0.2960 0.5852
S16 S 0.6338 0.3557 0.0875
S17 S 0.6865 0.8724 0.6898
S18 S 0.6898 0.6865 0.8724
S19 S 0.7822 0.3122 0.3842
S20 S 0.7960 0.1104 0.0852
S21 S 0.8122 0.2822 0.8842
S22 S 0.8557 0.1338 0.5875
S23 S 0.8724 0.6898 0.6865
S24 S 0.8842 0.8122 0.2822
# Final energy, eV/atom: -5.57
# ΔE_f, eV per atom: -1.5498

[4]
# TiGeS3 | the Materials Project | PBE | optimized geometry
data_TiGeS3
_chemical_formula_sum 'Ti4 Ge4 S12'
_space_group_name_H-M_alt 'P 1'
_space_group_IT_number 1
_cell_length_a 9.1111
_cell_length_b 3.5052
_cell_length_c 13.4220
_cell_angle_alpha 90.00
_cell_angle_beta 90.00
_cell_angle_gamma 90.00
loop_
_space_group_symop_operation_xyz
'x,y,z'
loop_
_atom_site_label
_atom_site_type_symbol
_atom_site_fract_x
_atom_site_fract_y
_atom_site_fract_z
Ti1 Ti 0.1534 0.2500 0.0473
Ti2 Ti 0.3466 0.7500 0.5473
Ti3 Ti 0.6534 0.2500 0.4527
Ti4 Ti 0.8466 0.7500 0.9527
Ge1 Ge 0.0709 0.2500 0.6607
Ge2 Ge 0.4291 0.7500 0.1607
Ge3 Ge 0.5709 0.2500 0.8393
Ge4 Ge 0.9291 0.7500 0.3393
S1 S 0.0128 0.2500 0.8928
S2 S 0.1783 0.2500 0.4917
S3 S 0.2349 0.7500 0.7131
S4 S 0.2651 0.2500 0.2131
S5 S 0.3217 0.7500 0.9917
S6 S 0.4872 0.7500 0.3928
S7 S 0.5128 0.2500 0.6072
S8 S 0.6783 0.2500 0.0083
S9 S 0.7349 0.7500 0.7869
S10 S 0.7651 0.2500 0.2869
S11 S 0.8217 0.7500 0.5083
S12 S 0.9872 0.7500 0.1072
# Final energy, eV/atom: -5.87
# ΔE_f, eV per atom: -1.1816

[5]
# UGeS | the Materials Project | PBE | optimized geometry
data_UGeS
_chemical_formula_sum 'U2 Ge2 S2'
_space_group_name_H-M_alt 'P 1'
_space_group_IT_number 1
_cell_length_a 4.1492
_cell_length_b 4.1492
_cell_length_c 7.2392
_cell_angle_alpha 90.00
_cell_angle_beta 90.00
_cell_angle_gamma 90.00
loop_
_space_group_symop_operation_xyz
'x,y,z'
loop_
_atom_site_label
_atom_site_type_symbol
_atom_site_fract_x
_atom_site_fract_y
_atom_site_fract_z
U1 U 0.2500 0.2500 0.2395
U2 U 0.7500 0.7500 0.7605
Ge1 Ge 0.2500 0.2500 0.6331
Ge2 Ge 0.7500 0.7500 0.3669
S1 S 0.2500 0.7500 0.0000
S2 S 0.7500 0.2500 0.0000
# Energy relative to the lowest polymorph listed for this composition, eV/f.u.: 1.48
# Final energy, eV/atom: -7.16
# ΔE_f, eV per atom: -0.6474

[6]
# UGeS | the Materials Project | PBE | optimized geometry
data_UGeS
_chemical_formula_sum 'U2 Ge2 S2'
_space_group_name_H-M_alt 'P 1'
_space_group_IT_number 1
_cell_length_a 3.8155
_cell_length_b 3.8155
_cell_length_c 8.1667
_cell_angle_alpha 90.00
_cell_angle_beta 90.00
_cell_angle_gamma 90.00
loop_
_space_group_symop_operation_xyz
'x,y,z'
loop_
_atom_site_label
_atom_site_type_symbol
_atom_site_fract_x
_atom_site_fract_y
_atom_site_fract_z
U1 U 0.2500 0.2500 0.1993
U2 U 0.7500 0.7500 0.8007
Ge1 Ge 0.2500 0.7500 0.5000
Ge2 Ge 0.7500 0.2500 0.5000
S1 S 0.2500 0.2500 0.8586
S2 S 0.7500 0.7500 0.1414
# Energy relative to the lowest polymorph listed for this composition, eV/f.u.: 0.00
# Final energy, eV/atom: -7.66
# ΔE_f, eV per atom: -1.1410

[7]
# V4GeS8 | the Materials Project | PBE | optimized geometry
data_V4GeS8
_chemical_formula_sum 'V4 Ge1 S8'
_space_group_name_H-M_alt 'P 1'
_space_group_IT_number 1
_cell_length_a 6.8576
_cell_length_b 6.8576
_cell_length_c 6.8576
_cell_angle_alpha 60.00
_cell_angle_beta 60.00
_cell_angle_gamma 60.00
loop_
_space_group_symop_operation_xyz
'x,y,z'
loop_
_atom_site_label
_atom_site_type_symbol
_atom_site_fract_x
_atom_site_fract_y
_atom_site_fract_z
V1 V 0.3959 0.3959 0.3959
V2 V 0.3959 0.3959 0.8122
V3 V 0.3959 0.8122 0.3959
V4 V 0.8122 0.3959 0.3959
Ge1 Ge 0.0000 0.0000 0.0000
S1 S 0.1112 0.6296 0.6296
S2 S 0.1367 0.1367 0.1367
S3 S 0.1367 0.1367 0.5900
S4 S 0.1367 0.5900 0.1367
S5 S 0.5900 0.1367 0.1367
S6 S 0.6296 0.1112 0.6296
S7 S 0.6296 0.6296 0.1112
S8 S 0.6296 0.6296 0.6296
# Energy relative to the lowest polymorph listed for this composition, eV/f.u.: 0.00
# Final energy, eV/atom: -6.53
# ΔE_f, eV per atom: -1.1442

[8]
# V4GeS8 | the Materials Project | PBE | optimized geometry
data_V4GeS8
_chemical_formula_sum 'V4 Ge1 S8'
_space_group_name_H-M_alt 'P 1'
_space_group_IT_number 1
_cell_length_a 6.8459
_cell_length_b 6.8459
_cell_length_c 6.8459
_cell_angle_alpha 120.33
_cell_angle_beta 119.04
_cell_angle_gamma 90.56
loop_
_space_group_symop_operation_xyz
'x,y,z'
loop_
_atom_site_label
_atom_site_type_symbol
_atom_site_fract_x
_atom_site_fract_y
_atom_site_fract_z
V1 V 0.2089 0.0000 0.2089
V2 V 0.7911 0.0000 0.7911
V3 V 0.7915 0.5971 0.8056
V4 V 0.7915 0.9859 0.1944
Ge1 Ge 0.3908 0.3908 0.0000
S1 S 0.0252 0.2788 0.2536
S2 S 0.0252 0.7715 0.7464
S3 S 0.0266 0.7655 0.2611
S4 S 0.5044 0.7655 0.7389
S5 S 0.5308 0.2593 0.7285
S6 S 0.5308 0.8024 0.2715
S7 S 0.5346 0.2596 0.2751
S8 S 0.9845 0.2596 0.7249
# Energy relative to the lowest polymorph listed for this composition, eV/f.u.: 0.11
# Final energy, eV/atom: -6.52
# ΔE_f, eV per atom: -1.1359

[9]
# Y12Ge5S28 | the Materials Project | PBE | optimized geometry
data_Y12Ge5S28
_chemical_formula_sum 'Y12 Ge5 S28'
_space_group_name_H-M_alt 'P 1'
_space_group_IT_number 1
_cell_length_a 9.8971
_cell_length_b 11.4345
_cell_length_c 11.4380
_cell_angle_alpha 96.93
_cell_angle_beta 115.63
_cell_angle_gamma 115.64
loop_
_space_group_symop_operation_xyz
'x,y,z'
loop_
_atom_site_label
_atom_site_type_symbol
_atom_site_fract_x
_atom_site_fract_y
_atom_site_fract_z
Y1 Y 0.0000 0.0000 0.0000
Y2 Y 0.0044 0.6609 0.8805
Y3 Y 0.1470 0.8969 0.6048
Y4 Y 0.1667 0.2800 0.7558
Y5 Y 0.1831 0.7172 0.2842
Y6 Y 0.4839 0.7094 0.8326
Y7 Y 0.4983 0.1442 0.3586
Y8 Y 0.5152 0.5295 0.5063
Y9 Y 0.6661 0.7672 0.2332
Y10 Y 0.6709 0.4258 0.1157
Y11 Y 0.7154 0.2295 0.8053
Y12 Y 0.9552 0.1975 0.3047
Ge1 Ge 0.0000 0.5434 0.5546
Ge2 Ge 0.2502 0.4633 0.1393
Ge3 Ge 0.3222 0.2015 0.5456
Ge4 Ge 0.4951 0.0435 0.0534
Ge5 Ge 0.7492 0.9609 0.6395
S1 S 0.0090 0.0454 0.4744
S2 S 0.0243 0.0026 0.7624
S3 S 0.0598 0.2664 0.9543
S4 S 0.1111 0.5093 0.7541
S5 S 0.1648 0.8777 0.1282
S6 S 0.1727 0.4687 0.2965
S7 S 0.2448 0.2093 0.3105
S8 S 0.2456 0.6976 0.5646
S9 S 0.2685 0.3867 0.5811
S10 S 0.2995 0.6615 0.1040
S11 S 0.3077 0.8526 0.8642
S12 S 0.3724 0.0088 0.5104
S13 S 0.3887 0.1721 0.0900
S14 S 0.4019 0.1924 0.7739
S15 S 0.4856 0.5288 0.9674
S16 S 0.5224 0.5008 0.2639
S17 S 0.5583 0.7764 0.4432
S18 S 0.6155 0.0075 0.2527
S19 S 0.6253 0.3564 0.6106
S20 S 0.6708 0.9692 0.7951
S21 S 0.7308 0.2049 0.0570
S22 S 0.7318 0.7060 0.7906
S23 S 0.7761 0.9138 0.0911
S24 S 0.7977 0.1607 0.6039
S25 S 0.8069 0.3535 0.3630
S26 S 0.8742 0.4946 0.0021
S27 S 0.8863 0.6623 0.5999
S28 S 0.9162 0.7013 0.3055
# Final energy, eV/atom: -6.28
# ΔE_f, eV per atom: -1.7791